Record 1
This record from Materials Project describes a relaxed structure of Cr6O11. The functional is meta-GGA r2SCAN.

Output
- total energy (eV/atom) = -11.436
- total moment (μB per formula unit) = 14.0

a = 5.336 Å, b = 6.931 Å, c = 9.383 Å
α = 89.64°, β = 81.10°, γ = 72.27°
Positions (direct):
Cr  0.173  0.307  0.061
Cr  0.181  0.808  0.060
Cr  0.229  0.360  0.414
Cr  0.231  0.860  0.413
Cr  0.309  0.431  0.759
Cr  0.314  0.923  0.760
Cr  0.686  0.077  0.240
Cr  0.691  0.569  0.241
Cr  0.769  0.140  0.587
Cr  0.771  0.640  0.586
Cr  0.819  0.192  0.940
Cr  0.827  0.693  0.939
O  0.014  0.092  0.112
O  0.054  0.424  0.248
O  0.099  0.640  0.473
O  0.124  0.983  0.604
O  0.181  0.207  0.853
O  0.215  0.545  0.965
O  0.341  0.738  0.220
O  0.360  0.079  0.351
O  0.409  0.301  0.576
O  0.439  0.643  0.699
O  0.474  0.834  0.931
O  0.526  0.166  0.069
O  0.561  0.357  0.301
O  0.591  0.699  0.424
O  0.640  0.921  0.649
O  0.659  0.262  0.780
O  0.785  0.455  0.035
O  0.819  0.793  0.147
O  0.876  0.017  0.396
O  0.901  0.360  0.527
O  0.946  0.576  0.752
O  0.986  0.908  0.888

***

Record 2
This record from Materials Project describes a relaxed structure of ThCl4. The functional is meta-GGA r2SCAN.

Output
- total energy (eV/atom) = -22.027
- total moment (μB per formula unit) = 0.0

a = 7.132 Å, b = 7.132 Å, c = 7.132 Å
α = 106.51°, β = 106.51°, γ = 115.58°
Positions (direct):
Th  0.375  0.625  0.750
Th  0.625  0.375  0.250
Cl  0.135  0.698  0.437
Cl  0.239  0.302  0.937
Cl  0.302  0.239  0.437
Cl  0.302  0.865  0.063
Cl  0.698  0.135  0.937
Cl  0.698  0.761  0.563
Cl  0.761  0.698  0.063
Cl  0.865  0.302  0.563

***

Record 3
This record from Materials Project describes a relaxed structure of Yb3Cr. The functional is meta-GGA r2SCAN.

Output
- total energy (eV/atom) = -30.981
- total moment (μB per formula unit) = 3.0

a = 5.242 Å, b = 5.242 Å, c = 5.242 Å
α = 119.71°, β = 119.71°, γ = 90.50°
Positions (direct):
Yb  0.000  0.000  0.000
Yb  0.250  0.750  0.500
Yb  0.750  0.250  0.500
Cr  0.500  0.500  0.000

***

Record 4
This record from Materials Project describes a relaxed structure of LiPb. The functional is meta-GGA r2SCAN.

Output
- total energy (eV/atom) = -29.661
- total moment (μB per formula unit) = 0.0

a = 3.526 Å, b = 3.526 Å, c = 3.526 Å
α = 90.00°, β = 90.00°, γ = 90.00°
Positions (direct):
Li  0.000  0.000  0.000
Pb  0.500  0.500  0.500

***

Record 5
This record from Materials Project describes a relaxed structure of YbBi2C. The functional is meta-GGA r2SCAN.

Output
- total energy (eV/atom) = -40.219
- total moment (μB per formula unit) = 0.0

a = 10.667 Å, b = 10.667 Å, c = 6.633 Å
α = 90.00°, β = 90.00°, γ = 90.00°
Positions (direct):
Yb  0.168  0.332  0.250
Yb  0.168  0.332  0.750
Yb  0.332  0.832  0.250
Yb  0.332  0.832  0.750
Yb  0.668  0.168  0.250
Yb  0.668  0.168  0.750
Yb  0.832  0.668  0.250
Yb  0.832  0.668  0.750
Bi  0.083  0.114  0.000
Bi  0.096  0.612  0.000
Bi  0.112  0.596  0.500
Bi  0.114  0.917  0.500
Bi  0.386  0.417  0.500
Bi  0.388  0.096  0.500
Bi  0.404  0.112  0.000
Bi  0.417  0.614  0.000
Bi  0.583  0.386  0.000
Bi  0.596  0.888  0.000
Bi  0.612  0.904  0.500
Bi  0.614  0.583  0.500
Bi  0.886  0.083  0.500
Bi  0.888  0.404  0.500
Bi  0.904  0.388  0.000
Bi  0.917  0.886  0.000
C  0.097  0.148  0.500
C  0.148  0.903  0.000
C  0.352  0.403  0.000
C  0.403  0.648  0.500
C  0.597  0.352  0.500
C  0.648  0.597  0.000
C  0.852  0.097  0.000
C  0.903  0.852  0.500

***

Record 6
This record from Materials Project describes a relaxed structure of TiSiRh. The functional is meta-GGA r2SCAN.

Output
- total energy (eV/atom) = -16.302
- total moment (μB per formula unit) = 0.0

a = 6.263 Å, b = 3.803 Å, c = 7.226 Å
α = 90.00°, β = 90.00°, γ = 90.00°
Positions (direct):
Ti  0.024  0.250  0.183
Ti  0.476  0.750  0.683
Ti  0.524  0.250  0.317
Ti  0.976  0.750  0.817
Si  0.231  0.750  0.379
Si  0.269  0.250  0.879
Si  0.731  0.750  0.121
Si  0.769  0.250  0.621
Rh  0.152  0.250  0.565
Rh  0.348  0.750  0.065
Rh  0.652  0.250  0.935
Rh  0.848  0.750  0.435

***

Record 7
This record from Materials Project describes a relaxed structure of DyErTe2. The functional is meta-GGA r2SCAN.

Output
- total energy (eV/atom) = -30.635
- total moment (μB per formula unit) = 0.0

a = 4.326 Å, b = 4.326 Å, c = 6.104 Å
α = 90.00°, β = 90.00°, γ = 90.00°
Positions (direct):
Dy  0.000  0.000  0.000
Er  0.500  0.500  0.500
Te  0.000  0.000  0.500
Te  0.500  0.500  0.000

***

Record 8
This record from Materials Project describes a relaxed structure of GaBH6. The functional is meta-GGA r2SCAN.

Output
- total energy (eV/atom) = -4.917
- total moment (μB per formula unit) = 0.0

a = 8.265 Å, b = 8.265 Å, c = 10.198 Å
α = 119.79°, β = 119.79°, γ = 67.14°
Positions (direct):
Ga  0.178  0.822  0.750
Ga  0.201  0.420  0.210
Ga  0.420  0.201  0.710
Ga  0.580  0.799  0.290
Ga  0.799  0.580  0.790
Ga  0.822  0.178  0.250
B  0.089  0.216  0.512
B  0.216  0.089  0.012
B  0.337  0.663  0.250
B  0.663  0.337  0.750
B  0.784  0.911  0.988
B  0.911  0.784  0.488
H  0.009  0.504  0.871
H  0.036  0.645  0.478
H  0.064  0.088  0.373
H  0.088  0.064  0.873
H  0.117  0.140  0.598
H  0.140  0.117  0.098
H  0.157  0.682  0.795
H  0.226  0.271  0.537
H  0.252  0.725  0.338
H  0.271  0.226  0.037
H  0.275  0.748  0.162
H  0.318  0.843  0.705
H  0.339  0.380  0.365
H  0.339  0.493  0.156
H  0.355  0.964  0.022
H  0.380  0.339  0.865
H  0.493  0.339  0.656
H  0.496  0.991  0.629
H  0.504  0.009  0.371
H  0.507  0.661  0.344
H  0.620  0.661  0.135
H  0.645  0.036  0.978
H  0.661  0.507  0.844
H  0.661  0.620  0.635
H  0.682  0.157  0.295
H  0.725  0.252  0.838
H  0.729  0.774  0.963
H  0.748  0.275  0.662
H  0.774  0.729  0.463
H  0.843  0.318  0.205
H  0.860  0.883  0.902
H  0.883  0.860  0.402
H  0.912  0.936  0.127
H  0.936  0.912  0.627
H  0.964  0.355  0.522
H  0.991  0.496  0.129

***

Record 9
This record from Materials Project describes a relaxed structure of ErMgRh2. The functional is meta-GGA r2SCAN.

Output
- total energy (eV/atom) = -22.377
- total moment (μB per formula unit) = 0.0

a = 4.581 Å, b = 4.581 Å, c = 4.581 Å
α = 60.00°, β = 60.00°, γ = 60.00°
Positions (direct):
Er  0.000  0.000  0.000
Mg  0.500  0.500  0.500
Rh  0.250  0.250  0.250
Rh  0.750  0.750  0.750

***

Record 10
This record from Materials Project describes a relaxed structure of BiTeRh. The functional is meta-GGA r2SCAN.

Output
- total energy (eV/atom) = -36.444
- total moment (μB per formula unit) = 0.0

a = 6.567 Å, b = 6.567 Å, c = 6.567 Å
α = 90.00°, β = 90.00°, γ = 90.00°
Positions (direct):
Bi  0.131  0.131  0.131
Bi  0.369  0.869  0.631
Bi  0.631  0.369  0.869
Bi  0.869  0.631  0.369
Te  0.127  0.373  0.627
Te  0.373  0.627  0.127
Te  0.627  0.127  0.373
Te  0.873  0.873  0.873
Rh  0.006  0.506  0.994
Rh  0.494  0.494  0.494
Rh  0.506  0.994  0.006
Rh  0.994  0.006  0.506

***

Record 11
This record from Materials Project describes a relaxed structure of CsW2O6. The functional is meta-GGA r2SCAN.

Output
- total energy (eV/atom) = -20.514
- total moment (μB per formula unit) = 1.0

a = 7.327 Å, b = 7.327 Å, c = 7.327 Å
α = 60.00°, β = 60.00°, γ = 60.00°
Positions (direct):
Cs  0.125  0.125  0.125
Cs  0.875  0.875  0.875
W  0.000  0.500  0.500
W  0.500  0.000  0.500
W  0.500  0.500  0.000
W  0.500  0.500  0.500
O  0.190  0.190  0.560
O  0.190  0.560  0.190
O  0.190  0.560  0.560
O  0.440  0.440  0.810
O  0.440  0.810  0.440
O  0.440  0.810  0.810
O  0.560  0.190  0.190
O  0.560  0.190  0.560
O  0.560  0.560  0.190
O  0.810  0.440  0.440
O  0.810  0.440  0.810
O  0.810  0.810  0.440

***

Record 12
This record from Materials Project describes a relaxed structure of MgAu2F8. The functional is meta-GGA r2SCAN.

Output
- total energy (eV/atom) = -13.728
- total moment (μB per formula unit) = 0.0

a = 5.483 Å, b = 5.476 Å, c = 10.709 Å
α = 90.00°, β = 109.30°, γ = 90.00°
Positions (direct):
Mg  0.000  0.000  0.000
Mg  0.000  0.500  0.500
Au  0.368  0.207  0.335
Au  0.368  0.293  0.835
Au  0.632  0.707  0.165
Au  0.632  0.793  0.665
F  0.068  0.100  0.189
F  0.068  0.400  0.689
F  0.164  0.205  0.455
F  0.164  0.295  0.955
F  0.327  0.686  0.522
F  0.327  0.814  0.022
F  0.433  0.704  0.282
F  0.433  0.796  0.782
F  0.567  0.204  0.218
F  0.567  0.296  0.718
F  0.673  0.186  0.978
F  0.673  0.314  0.478
F  0.836  0.705  0.045
F  0.836  0.795  0.545
F  0.932  0.600  0.311
F  0.932  0.900  0.811

***

Record 13
This record from Materials Project describes a relaxed structure of Ca7Ni4Sn13. The functional is meta-GGA r2SCAN.

Output
- total energy (eV/atom) = -17.972
- total moment (μB per formula unit) = 0.0

a = 11.213 Å, b = 11.213 Å, c = 4.599 Å
α = 90.00°, β = 90.00°, γ = 90.00°
Positions (direct):
Ca  0.000  0.000  0.000
Ca  0.000  0.500  0.500
Ca  0.330  0.338  0.500
Ca  0.338  0.670  0.500
Ca  0.500  0.000  0.500
Ca  0.662  0.330  0.500
Ca  0.670  0.662  0.500
Ni  0.119  0.725  0.000
Ni  0.275  0.119  0.000
Ni  0.725  0.881  0.000
Ni  0.881  0.275  0.000
Sn  0.076  0.808  0.500
Sn  0.111  0.284  0.000
Sn  0.192  0.076  0.500
Sn  0.213  0.519  0.000
Sn  0.284  0.889  0.000
Sn  0.481  0.213  0.000
Sn  0.500  0.500  0.000
Sn  0.519  0.787  0.000
Sn  0.716  0.111  0.000
Sn  0.787  0.481  0.000
Sn  0.808  0.924  0.500
Sn  0.889  0.716  0.000
Sn  0.924  0.192  0.500

***

Record 14
This record from Materials Project describes a relaxed structure of YbSnPd2. The functional is meta-GGA r2SCAN.

Output
- total energy (eV/atom) = -27.726
- total moment (μB per formula unit) = 0.0

a = 4.721 Å, b = 4.721 Å, c = 4.721 Å
α = 60.00°, β = 60.00°, γ = 60.00°
Positions (direct):
Yb  0.000  0.000  0.000
Sn  0.500  0.500  0.500
Pd  0.250  0.250  0.250
Pd  0.750  0.750  0.750

***

Record 15
This record from Materials Project describes a relaxed structure of SiO2. The functional is meta-GGA r2SCAN.

Output
- total energy (eV/atom) = -9.926
- total moment (μB per formula unit) = 0.0

a = 5.234 Å, b = 21.925 Å, c = 11.328 Å
α = 90.00°, β = 90.00°, γ = 90.00°
Positions (direct):
Si  0.250  0.042  0.010
Si  0.250  0.077  0.275
Si  0.250  0.117  0.773
Si  0.250  0.250  0.697
Si  0.250  0.383  0.773
Si  0.250  0.423  0.275
Si  0.250  0.458  0.010
Si  0.250  0.563  0.352
Si  0.250  0.622  0.599
Si  0.250  0.750  0.467
Si  0.250  0.878  0.599
Si  0.250  0.937  0.352
Si  0.750  0.063  0.648
Si  0.750  0.122  0.401
Si  0.750  0.250  0.533
Si  0.750  0.378  0.401
Si  0.750  0.437  0.648
Si  0.750  0.542  0.990
Si  0.750  0.577  0.725
Si  0.750  0.617  0.227
Si  0.750  0.750  0.303
Si  0.750  0.883  0.227
Si  0.750  0.923  0.725
Si  0.750  0.958  0.990
O  0.000  0.000  0.000
O  0.000  0.095  0.703
O  0.000  0.113  0.321
O  0.000  0.250  0.615
O  0.000  0.387  0.321
O  0.000  0.405  0.703
O  0.000  0.500  0.000
O  0.000  0.595  0.297
O  0.000  0.613  0.679
O  0.000  0.750  0.385
O  0.000  0.887  0.679
O  0.000  0.905  0.297
O  0.250  0.008  0.324
O  0.250  0.078  0.133
O  0.250  0.092  0.906
O  0.250  0.191  0.780
O  0.250  0.309  0.780
O  0.250  0.408  0.906
O  0.250  0.422  0.133
O  0.250  0.492  0.324
O  0.250  0.573  0.493
O  0.250  0.690  0.549
O  0.250  0.810  0.549
O  0.250  0.927  0.493
O  0.500  0.000  0.000
O  0.500  0.095  0.703
O  0.500  0.113  0.321
O  0.500  0.250  0.615
O  0.500  0.387  0.321
O  0.500  0.405  0.703
O  0.500  0.500  0.000
O  0.500  0.595  0.297
O  0.500  0.613  0.679
O  0.500  0.750  0.385
O  0.500  0.887  0.679
O  0.500  0.905  0.297
O  0.750  0.073  0.507
O  0.750  0.190  0.451
O  0.750  0.310  0.451
O  0.750  0.427  0.507
O  0.750  0.508  0.676
O  0.750  0.578  0.867
O  0.750  0.592  0.094
O  0.750  0.691  0.220
O  0.750  0.809  0.220
O  0.750  0.908  0.094
O  0.750  0.922  0.867
O  0.750  0.992  0.676